A plane-wave DFT calculation with GGA+U was carried out for an optimized crystal structure of Li8Mn9O18.

Cell: 6.545 6.547 16.383 Å, 85.50 85.57 82.54°
Sites, in units of the cell vectors:
Li 0.088 0.416 0.248
Li 0.084 0.424 0.581
Li 0.081 0.409 0.922
Li 0.265 0.247 0.414
Li 0.248 0.248 0.747
Li 0.418 0.082 0.253
Li 0.428 0.088 0.575
Li 0.408 0.080 0.923
Li 0.568 0.929 0.086
Li 0.746 0.752 0.251
Li 0.577 0.911 0.758
Li 0.757 0.763 0.572
Li 0.928 0.568 0.086
Li 0.909 0.603 0.408
Li 0.746 0.746 0.924
Li 0.911 0.580 0.756
Mn 0.508 0.512 0.499
Mn 0.831 0.162 0.835
Mn 0.999 0.000 0.665
Mn 0.997 0.997 0.003
Mn 0.999 0.000 0.333
Mn 0.169 0.837 0.168
Mn 0.328 0.660 0.001
Mn 0.183 0.844 0.496
Mn 0.338 0.669 0.333
Mn 0.162 0.830 0.835
Mn 0.501 0.500 0.166
Mn 0.328 0.666 0.668
Mn 0.661 0.328 0.001
Mn 0.664 0.328 0.333
Mn 0.496 0.496 0.834
Mn 0.665 0.330 0.668
Mn 0.836 0.169 0.168
Mn 0.840 0.178 0.496
O 0.103 0.100 0.223
O 0.051 0.719 0.300
O 0.121 0.123 0.534
O 0.219 0.559 0.131
O 0.044 0.721 0.629
O 0.112 0.112 0.870
O 0.281 0.940 0.035
O 0.047 0.713 0.965
O 0.225 0.561 0.464
O 0.276 0.954 0.367
O 0.383 0.385 0.297
O 0.216 0.547 0.799
O 0.278 0.944 0.705
O 0.451 0.784 0.202
O 0.383 0.384 0.633
O 0.559 0.219 0.130
O 0.610 0.611 0.035
O 0.449 0.780 0.547
O 0.396 0.396 0.944
O 0.557 0.232 0.465
O 0.619 0.607 0.368
O 0.448 0.776 0.868
O 0.724 0.053 0.293
O 0.548 0.216 0.798
O 0.786 0.452 0.201
O 0.598 0.598 0.722
O 0.721 0.052 0.626
O 0.942 0.281 0.034
O 0.786 0.458 0.539
O 0.713 0.047 0.965
O 0.889 0.888 0.131
O 0.950 0.280 0.368
O 0.777 0.448 0.868
O 0.911 0.902 0.449
O 0.945 0.281 0.703
O 0.880 0.882 0.798

## Properties
energy of formation: -2.1173 eV/atom
spin magnetization: 35.0 μB per formula unit
final energy: -6.672 eV per atom